VASP calculation (GGA+U) on an optimized crystal structure of Fe2BiSbO7.

The space group is No. 74. The calculation puts the energy of formation at -141.6 kJ/mol of atoms. The total energy comes out at -6.038 eV/atom. As for the total magnetic moment: 7.999 μB/f.u. The value obtained for the energy with MP2020 corrections is -6.89 eV/atom.

Structure (POSCAR):
```
Fe2BiSbO7
1.0
-3.6527 3.7365 5.2100
3.6527 -3.7365 5.2100
3.6527 3.7365 -5.2100
Fe Bi Sb O
4 2 2 14
direct
0.0000 0.0000 0.0000
0.5000 0.0000 0.0000
0.5000 0.0000 0.5000
0.5000 0.5000 0.5000
0.0000 0.5000 0.5000
0.5000 0.5000 0.0000
0.0000 0.0000 0.5000
0.0000 0.5000 0.0000
0.0624 0.8124 0.2500
0.0707 0.3983 0.2227
0.0707 0.8481 0.6725
0.3244 0.1519 0.7227
0.3244 0.6017 0.1725
0.3523 0.6023 0.7500
0.3653 0.1153 0.2500
0.6347 0.8847 0.7500
0.6477 0.3977 0.2500
0.6756 0.3983 0.8275
0.6756 0.8481 0.2773
0.9293 0.1519 0.3275
0.9293 0.6017 0.7773
0.9376 0.1876 0.7500
```